Record 1
La4Mg3Ag10: relaxed, meta-GGA r2SCAN.

Results
Formation energy from the elements, eV/atom: -0.30
Calculated total energy, eV per atom: -20.593

```
34
Lattice="-6.936 5.443 -0.655 1.511 -1.589 8.565 6.389 8.190 0.393" Properties=species:S:1:pos:R:3 pbc="T T T"
La -2.026 8.109 1.414
Ag 0.698 6.070 7.013
Ag 0.266 5.973 1.288
Ag 2.554 4.068 3.786
La 1.310 9.216 5.828
Ag -2.164 5.450 3.064
Mg 0.000 0.000 0.000
Ag -2.628 3.081 4.757
Ag 2.060 3.687 0.924
La -4.428 3.355 2.082
Ag -1.590 7.975 4.515
Ag -0.504 10.867 0.664
Mg 0.482 6.022 4.151
Mg -1.954 4.828 -0.108
Ag 1.468 1.176 7.638
La -0.346 2.827 2.474
Ag -4.651 6.271 0.958
Ag 0.163 3.513 5.604
Ag 3.974 9.703 0.736
Mg 2.269 1.312 4.502
La -0.997 0.499 5.827
Ag 5.615 5.772 7.344
Ag -5.298 4.245 5.068
Ag -3.010 2.340 7.566
La -2.456 5.527 6.465
Ag 6.262 7.798 3.234
Mg 2.918 7.215 8.410
La 2.990 3.934 6.888
Ag 0.801 8.530 2.698
Ag 3.128 6.593 5.238
Ag -1.096 8.356 7.378
Mg -1.305 10.731 3.800
Ag 3.592 8.963 3.544
La 3.420 6.516 1.836
```

---

Record 2
LaAgO2: relaxed, meta-GGA r2SCAN.

Results
Formation energy from the elements, eV/atom: -2.41
Calculated total energy, eV per atom: -18.169

```
4
Lattice="3.815 0.000 0.000 -1.908 1.101 6.142 1.908 -3.304 0.000" Properties=species:S:1:pos:R:3 pbc="T T T"
O 0.000 0.000 2.036
O 3.815 -2.203 4.106
La 1.908 -1.101 3.071
Ag 0.000 0.000 0.000
```

---

Record 3
LaAgO2: relaxed, meta-GGA r2SCAN.

Results
Formation energy from the elements, eV/atom: -2.41
Calculated total energy, eV per atom: -18.169

```
8
Lattice="3.816 0.000 0.000 -1.908 3.305 0.000 0.000 0.000 12.281" Properties=species:S:1:pos:R:3 pbc="T T T"
Ag 1.908 1.102 9.211
La 0.000 0.000 12.281
O 1.908 1.102 7.174
O 1.908 1.102 11.248
O 0.000 2.203 5.107
O 0.000 2.204 1.034
La 1.908 3.305 6.141
Ag 0.000 2.203 3.070
```

---

Record 4
LaSi2Ag2: relaxed, meta-GGA r2SCAN.

Results
Formation energy from the elements, eV/atom: -0.50
Calculated total energy, eV per atom: -18.497

```
5
Lattice="4.032 0.000 -1.509 -0.565 3.992 -1.509 -0.001 -0.001 6.137" Properties=species:S:1:pos:R:3 pbc="T T T"
Si 2.113 2.433 -0.495
Ag 0.584 2.993 1.560
Ag 2.882 0.997 1.560
Si 1.353 1.558 3.614
La 0.000 0.000 0.000
```